No. 1
# GGA-PBE ErCu3S3, optimized geometry
data_ErCu3S3
_space_group_name_H-M_alt 'P -3 1 m'
_space_group_IT_number 162
_space_group_name_Hall '-P 3 2'
_cell_length_a 6.6614
_cell_length_b 6.6614
_cell_length_c 6.3132
_cell_angle_alpha 90.00
_cell_angle_beta 90.00
_cell_angle_gamma 120.00
loop_
_atom_site_label
_atom_site_type_symbol
_atom_site_fract_x
_atom_site_fract_y
_atom_site_fract_z
Er1 Er 0.3333 0.6667 0.0000
Cu1 Cu 0.0000 0.3372 0.3698
S1 S 0.0000 0.3328 0.7519
# VASP energy	-70.399	eV per cell
# energy relative to the elements	-1.062	eV per atom
# relative energy among the computed polymorphs	0.003	eV/atom



No. 2
# GGA-PBE Ca13Si10O34F10, optimized geometry
data_Ca13Si10O34F10
_space_group_name_H-M_alt 'P -1'
_space_group_IT_number 2
_cell_length_a 9.403
_cell_length_b 9.404
_cell_length_c 13.876
_cell_angle_alpha 70.93
_cell_angle_beta 70.96
_cell_angle_gamma 60.09
loop_
_space_group_symop_operation_xyz
'x,y,z'
'-x,-y,-z'
loop_
_atom_site_label
_atom_site_type_symbol
_atom_site_fract_x
_atom_site_fract_y
_atom_site_fract_z
Ca1 Ca 0.000 0.000 0.000
Ca2 Ca 0.010 0.449 0.278
Ca3 Ca 0.138 0.272 0.037
Ca4 Ca 0.266 0.013 0.279
Ca5 Ca 0.272 0.553 0.037
Ca6 Ca 0.446 0.863 0.962
Ca7 Ca 0.449 0.271 0.276
Si1 Si 0.108 0.107 0.665
Si2 Si 0.157 0.766 0.789
Si3 Si 0.234 0.717 0.210
Si4 Si 0.285 0.156 0.787
Si5 Si 0.396 0.395 0.810
O1 O 0.003 0.771 0.757
O2 O 0.089 0.858 0.281
O3 O 0.105 0.776 0.912
O4 O 0.130 0.147 0.541
O5 O 0.150 0.221 0.711
O6 O 0.204 0.106 0.909
O7 O 0.224 0.795 0.087
O8 O 0.224 0.910 0.717
O9 O 0.226 0.539 0.241
O10 O 0.267 0.562 0.534
O11 O 0.298 0.337 0.763
O12 O 0.337 0.597 0.764
O13 O 0.355 0.353 0.935
O14 O 0.366 0.736 0.466
O15 O 0.402 0.702 0.237
O16 O 0.434 0.359 0.463
O17 O 0.465 0.002 0.758
F1 F 0.017 0.534 0.090
F2 F 0.223 0.224 0.344
F3 F 0.286 0.286 0.145
F4 F 0.359 0.018 0.089
F5 F 0.466 0.639 0.911
# VASP energy	-446.335	eV per cell
# size of the total moment	1.272	μB per cell
# energy relative to the elements	-3.084	eV per atom



No. 3
# GGA-PBE Ag2O3, optimized geometry
data_Ag2O3
_space_group_name_H-M_alt 'P n -3 m'
_space_group_IT_number 224
_cell_length_a 5.107
_cell_length_b 5.107
_cell_length_c 5.107
_cell_angle_alpha 90.00
_cell_angle_beta 90.00
_cell_angle_gamma 90.00
loop_
_space_group_symop_operation_xyz
'x,y,z'
'-x,-y,-z'
'-y,x+1/2,z+1/2'
'y,-x+1/2,-z+1/2'
'-x+1/2,-y+1/2,z'
'x+1/2,y+1/2,-z'
'y+1/2,-x,z+1/2'
'-y+1/2,x,-z+1/2'
'x,-y+1/2,-z+1/2'
'-x,y+1/2,z+1/2'
'-y,-x,-z'
'y,x,z'
'-x+1/2,y,-z+1/2'
'x+1/2,-y,z+1/2'
'y+1/2,x+1/2,-z'
'-y+1/2,-x+1/2,z'
'z,x,y'
'-z,-x,-y'
'z+1/2,-y,x+1/2'
'-z+1/2,y,-x+1/2'
'z,-x+1/2,-y+1/2'
'-z,x+1/2,y+1/2'
'z+1/2,y+1/2,-x'
'-z+1/2,-y+1/2,x'
'-z+1/2,x,-y+1/2'
'z+1/2,-x,y+1/2'
'-z,-y,-x'
'z,y,x'
'-z+1/2,-x+1/2,y'
'z+1/2,x+1/2,-y'
'-z,y+1/2,x+1/2'
'z,-y+1/2,-x+1/2'
'y,z,x'
'-y,-z,-x'
'x+1/2,z+1/2,-y'
'-x+1/2,-z+1/2,y'
'-y+1/2,z,-x+1/2'
'y+1/2,-z,x+1/2'
'-x,z+1/2,y+1/2'
'x,-z+1/2,-y+1/2'
'-y+1/2,-z+1/2,x'
'y+1/2,z+1/2,-x'
'-x,-z,-y'
'x,z,y'
'y,-z+1/2,-x+1/2'
'-y,z+1/2,x+1/2'
'x+1/2,-z,y+1/2'
'-x+1/2,z,-y+1/2'
loop_
_atom_site_label
_atom_site_type_symbol
_atom_site_fract_x
_atom_site_fract_y
_atom_site_fract_z
Ag1 Ag 0.000 0.000 0.000
O1 O 0.250 0.250 0.750
# VASP energy	-38.787	eV per cell
# size of the total moment	0.985	μB per cell
# energy relative to the elements	-0.189	eV per atom



No. 4
# GGA-PBE Na14Mg4Sc4Si5S7O48, optimized geometry
data_Na14Mg4Sc4Si5S7O48
_space_group_name_H-M_alt 'P 1'
_space_group_IT_number 1
_cell_length_a 9.106
_cell_length_b 15.858
_cell_length_c 22.386
_cell_angle_alpha 89.36
_cell_angle_beta 89.98
_cell_angle_gamma 90.00
loop_
_space_group_symop_operation_xyz
'x,y,z'
loop_
_atom_site_label
_atom_site_type_symbol
_atom_site_fract_x
_atom_site_fract_y
_atom_site_fract_z
Na1 Na 0.000 0.000 0.000
Na2 Na 0.000 0.028 0.325
Na3 Na 0.020 0.359 0.334
Na4 Na 0.036 0.682 0.995
Na5 Na 0.054 0.017 0.671
Na6 Na 0.157 0.863 0.582
Na7 Na 0.161 0.532 0.412
Na8 Na 0.172 0.173 0.755
Na9 Na 0.173 0.857 0.077
Na10 Na 0.174 0.524 0.920
Na11 Na 0.176 0.172 0.246
Na12 Na 0.278 0.016 0.163
Na13 Na 0.308 0.676 0.490
Na14 Na 0.324 0.352 0.834
Na15 Na 0.335 0.001 0.502
Na16 Na 0.343 0.036 0.832
Na17 Na 0.353 0.345 0.161
Na18 Na 0.354 0.378 0.499
Na19 Na 0.361 0.698 0.167
Na20 Na 0.469 0.867 0.002
Na21 Na 0.478 0.841 0.667
Na22 Na 0.479 0.197 0.681
Na23 Na 0.491 0.538 0.327
Na24 Na 0.496 0.513 0.001
Na25 Na 0.511 0.850 0.330
Na26 Na 0.526 0.177 0.990
Na27 Na 0.557 0.517 0.668
Na28 Na 0.661 0.671 0.752
Na29 Na 0.663 0.672 0.250
Na30 Na 0.668 0.015 0.414
Na31 Na 0.671 0.369 0.585
Na32 Na 0.672 0.030 0.915
Na33 Na 0.677 0.367 0.080
Na34 Na 0.783 0.520 0.164
Na35 Na 0.815 0.181 0.496
Na36 Na 0.816 0.856 0.840
Na37 Na 0.836 0.533 0.832
Na38 Na 0.837 0.503 0.501
Na39 Na 0.857 0.194 0.164
Na40 Na 0.859 0.842 0.160
Na41 Na 0.978 0.345 0.666
Na42 Na 0.979 0.692 0.668
Mg1 Mg 0.158 0.174 0.097
Mg2 Mg 0.165 0.519 0.567
Mg3 Mg 0.169 0.857 0.935
Mg4 Mg 0.172 0.859 0.236
Mg5 Mg 0.173 0.174 0.599
Mg6 Mg 0.177 0.862 0.736
Mg7 Mg 0.647 0.672 0.094
Mg8 Mg 0.661 0.362 0.234
Mg9 Mg 0.665 0.358 0.737
Mg10 Mg 0.667 0.363 0.431
Mg11 Mg 0.671 0.017 0.065
Mg12 Mg 0.676 0.671 0.598
Sc1 Sc 0.166 0.175 0.398
Sc2 Sc 0.167 0.523 0.767
Sc3 Sc 0.171 0.518 0.062
Sc4 Sc 0.171 0.531 0.271
Sc5 Sc 0.171 0.855 0.430
Sc6 Sc 0.174 0.174 0.897
Sc7 Sc 0.656 0.673 0.902
Sc8 Sc 0.661 0.357 0.930
Sc9 Sc 0.661 0.674 0.396
Sc10 Sc 0.664 0.030 0.773
Sc11 Sc 0.666 0.022 0.265
Sc12 Sc 0.671 0.013 0.566
Si1 Si 0.014 0.033 0.501
Si2 Si 0.016 0.997 0.832
Si3 Si 0.314 0.707 0.332
Si4 Si 0.322 0.002 0.332
Si5 Si 0.326 0.034 0.003
Si6 Si 0.364 0.689 0.003
Si7 Si 0.371 0.018 0.665
Si8 Si 0.466 0.516 0.166
Si9 Si 0.511 0.532 0.502
Si10 Si 0.514 0.503 0.829
Si11 Si 0.520 0.207 0.832
Si12 Si 0.819 0.532 0.001
Si13 Si 0.822 0.498 0.333
Si14 Si 0.871 0.517 0.664
Si15 Si 0.964 0.017 0.165
S1 S 0.017 0.669 0.164
S2 S 0.021 0.368 0.167
S3 S 0.022 0.329 0.500
S4 S 0.023 0.707 0.831
S5 S 0.311 0.329 0.001
S6 S 0.312 0.370 0.663
S7 S 0.315 0.668 0.664
S8 S 0.372 0.348 0.333
S9 S 0.463 0.187 0.500
S10 S 0.465 0.849 0.832
S11 S 0.521 0.168 0.165
S12 S 0.524 0.831 0.501
S13 S 0.524 0.871 0.165
S14 S 0.810 0.207 0.334
S15 S 0.811 0.831 0.000
S16 S 0.814 0.867 0.667
S17 S 0.817 0.167 0.663
S18 S 0.872 0.187 0.002
S19 S 0.872 0.851 0.331
S20 S 0.963 0.351 0.830
S21 S 0.963 0.687 0.502
O1 O 0.002 0.503 0.325
O2 O 0.041 0.612 0.217
O3 O 0.042 0.094 0.441
O4 O 0.042 0.937 0.891
O5 O 0.044 0.425 0.116
O6 O 0.054 0.608 0.505
O7 O 0.056 0.430 0.826
O8 O 0.059 0.278 0.554
O9 O 0.061 0.756 0.776
O10 O 0.064 0.280 0.839
O11 O 0.064 0.760 0.497
O12 O 0.065 0.104 0.165
O13 O 0.067 0.931 0.170
O14 O 0.079 0.618 0.828
O15 O 0.080 0.628 0.111
O16 O 0.081 0.746 0.885
O17 O 0.083 0.406 0.222
O18 O 0.084 0.416 0.503
O19 O 0.087 0.289 0.446
O20 O 0.088 0.078 0.558
O21 O 0.091 0.751 0.171
O22 O 0.092 0.091 0.840
O23 O 0.092 0.960 0.771
O24 O 0.094 0.941 0.494
O25 O 0.096 0.285 0.159
O26 O 0.238 0.286 0.658
O27 O 0.239 0.750 0.673
O28 O 0.242 0.096 0.339
O29 O 0.242 0.963 0.274
O30 O 0.247 0.942 0.996
O31 O 0.249 0.750 0.394
O32 O 0.250 0.410 0.717
O33 O 0.251 0.767 0.991
O34 O 0.252 0.078 0.061
O35 O 0.252 0.629 0.610
O36 O 0.253 0.290 0.946
O37 O 0.253 0.416 0.004
O38 O 0.257 0.609 0.332
O39 O 0.267 0.276 0.339
O40 O 0.269 0.600 0.006
O41 O 0.271 0.104 0.663
O42 O 0.271 0.931 0.667
O43 O 0.275 0.279 0.055
O44 O 0.282 0.764 0.273
O45 O 0.283 0.426 0.328
O46 O 0.284 0.424 0.610
O47 O 0.291 0.611 0.717
O48 O 0.293 0.944 0.392
O49 O 0.296 0.096 0.943
O50 O 0.329 0.525 0.506
O51 O 0.332 0.506 0.825
O52 O 0.337 0.202 0.836
O53 O 0.358 0.503 0.109
O54 O 0.358 0.526 0.225
O55 O 0.359 0.837 0.499
O56 O 0.360 0.183 0.161
O57 O 0.362 0.860 0.170
O58 O 0.364 0.175 0.448
O59 O 0.371 0.858 0.884
O60 O 0.375 0.202 0.555
O61 O 0.377 0.836 0.776
O62 O 0.458 0.711 0.062
O63 O 0.461 0.334 0.279
O64 O 0.465 0.356 0.387
O65 O 0.474 0.358 0.667
O66 O 0.476 0.334 0.999
O67 O 0.476 0.682 0.660
O68 O 0.477 0.006 0.605
O69 O 0.479 0.670 0.948
O70 O 0.482 0.028 0.722
O71 O 0.498 0.701 0.337
O72 O 0.503 0.006 0.328
O73 O 0.506 0.026 0.006
O74 O 0.542 0.443 0.889
O75 O 0.542 0.592 0.443
O76 O 0.544 0.111 0.218
O77 O 0.552 0.925 0.112
O78 O 0.554 0.108 0.505
O79 O 0.554 0.261 0.771
O80 O 0.554 0.928 0.826
O81 O 0.562 0.781 0.555
O82 O 0.563 0.259 0.492
O83 O 0.567 0.429 0.168
O84 O 0.567 0.602 0.165
O85 O 0.571 0.778 0.837
O86 O 0.578 0.108 0.832
O87 O 0.582 0.914 0.220
O88 O 0.582 0.919 0.504
O89 O 0.583 0.129 0.111
O90 O 0.583 0.792 0.447
O91 O 0.585 0.437 0.496
O92 O 0.586 0.251 0.892
O93 O 0.588 0.462 0.770
O94 O 0.588 0.574 0.561
O95 O 0.597 0.595 0.836
O96 O 0.598 0.250 0.174
O97 O 0.601 0.789 0.163
O98 O 0.734 0.441 0.993
O99 O 0.739 0.785 0.658
O100 O 0.743 0.458 0.274
O101 O 0.744 0.250 0.669
O102 O 0.745 0.574 0.059
O103 O 0.745 0.592 0.339
O104 O 0.746 0.917 0.004
O105 O 0.749 0.791 0.946
O106 O 0.751 0.906 0.721
O107 O 0.752 0.245 0.389
O108 O 0.754 0.126 0.609
O109 O 0.756 0.118 0.330
O110 O 0.768 0.431 0.670
O111 O 0.770 0.259 0.996
O112 O 0.770 0.604 0.664
O113 O 0.771 0.780 0.340
O114 O 0.775 0.256 0.279
O115 O 0.778 0.779 0.054
O116 O 0.778 0.931 0.327
O117 O 0.782 0.108 0.005
O118 O 0.792 0.925 0.614
O119 O 0.793 0.111 0.716
O120 O 0.795 0.592 0.940
O121 O 0.803 0.441 0.393
O122 O 0.832 0.031 0.504
O123 O 0.835 0.002 0.825
O124 O 0.856 0.681 0.159
O125 O 0.857 0.006 0.108
O126 O 0.858 0.031 0.226
O127 O 0.858 0.332 0.496
O128 O 0.858 0.703 0.833
O129 O 0.859 0.352 0.173
O130 O 0.865 0.365 0.882
O131 O 0.865 0.679 0.450
O132 O 0.876 0.698 0.557
O133 O 0.879 0.339 0.775
O134 O 0.957 0.840 0.276
O135 O 0.958 0.198 0.058
O136 O 0.969 0.866 0.383
O137 O 0.971 0.178 0.950
O138 O 0.974 0.504 0.606
O139 O 0.974 0.838 0.996
O140 O 0.976 0.853 0.671
O141 O 0.977 0.203 0.337
O142 O 0.978 0.180 0.658
O143 O 0.980 0.529 0.723
O144 O 0.999 0.525 0.005
# VASP energy	-1579.057	eV per cell
# size of the total moment	0.000	μB per cell
# energy relative to the elements	-2.628	eV per atom